{"formula": "Na4ZrScSi2PO12", "functional": "GGA-PBE", "state": "relaxed", "lattice": [[9.1892, 0.0082, -0.0027], [-4.5875, 7.9622, 0.0027], [-0.0066, 0.0038, 22.9243]], "species": ["O", "Na", "Na", "O", "P", "P", "Na", "Na", "Zr", "O", "O", "Na", "O", "Na", "Zr", "O", "O", "O", "O", "Si", "Si", "Na", "P", "O", "O", "Na", "O", "O", "O", "O", "Sc", "O", "Na", "O", "Na", "O", "Zr", "O", "O", "O", "Na", "Sc", "O", "O", "O", "Si", "O", "O", "P", "O", "Na", "O", "Na", "O", "Zr", "Na", "O", "Si", "Si", "O", "Sc", "Na", "O", "Na", "Na", "O", "O", "O", "Si", "O", "Na", "O", "O", "Zr", "O", "Si", "Na", "O", "O", "Na", "O", "Zr", "Sc", "O", "O", "O", "O", "O", "O", "O", "Sc", "O", "O", "Na", "O", "O", "O", "O", "O", "Na", "Si", "O", "O", "O", "O", "Na", "Sc", "O", "O", "O", "O", "Si", "Si", "O", "O", "O", "Si", "O", "P", "Na", "P", "O", "O", "Si", "O", "O"], "fractional_positions": [[0.8462, 0.3012, 0.5295], [0.6396, 0.0041, 0.2504], [0.6626, 0.6937, 0.0837], [0.1595, 0.4578, 0.9734], [0.2927, 0.0017, 0.2510], [0.9594, 0.3350, 0.5843], [0.0382, 0.3403, 0.0832], [0.6647, 0.3281, 0.8315], [0.6652, 0.3330, 0.9827], [0.8262, 0.7911, 0.3068], [0.9697, 0.1750, 0.3074], [0.0348, 0.7000, 0.5811], [0.1872, 0.1647, 0.0893], [0.9667, 0.2985, 0.4145], [0.3319, 0.6663, 0.3160], [0.9746, 0.1735, 0.5893], [0.2089, 0.1738, 0.8068], [0.5203, 0.6901, 0.2563], [0.8144, 0.9810, 0.4112], [0.0410, 0.6691, 0.4177], [0.6280, 0.9601, 0.4172], [0.0052, 0.0020, 0.9982], [0.6261, 0.6684, 0.9177], [0.5206, 0.8313, 0.7560], [0.9684, 0.7879, 0.8046], [0.3264, 0.2952, 0.9165], [0.8250, 0.0303, 0.8074], [0.4811, 0.3143, 0.7445], [0.0322, 0.8205, 0.6962], [0.1870, 0.0234, 0.5897], [0.3392, 0.6764, 0.5172], [0.8265, 0.0254, 0.0893], [0.3715, 0.0070, 0.7498], [0.6919, 0.1705, 0.7440], [0.3314, 0.6615, 0.1649], [0.8539, 0.4980, 0.4226], [0.9986, 0.9996, 0.6494], [0.3018, 0.4546, 0.4712], [0.8019, 0.8225, 0.9100], [0.1795, 0.9678, 0.1962], [0.7048, 0.6736, 0.4165], [0.6570, 0.3275, 0.6838], [0.4917, 0.3637, 0.1408], [0.3681, 0.8746, 0.8599], [0.6432, 0.1464, 0.4230], [0.9613, 0.6268, 0.0839], [0.3030, 0.8417, 0.9741], [0.3080, 0.8401, 0.2559], [0.3316, 0.3739, 0.4177], [0.6413, 0.5068, 0.9226], [0.3385, 0.6686, 0.6649], [0.1254, 0.6319, 0.3599], [0.9980, 0.9948, 0.4982], [0.0252, 0.8372, 0.4107], [0.6670, 0.3348, 0.4827], [0.9959, 0.3604, 0.7504], [0.7015, 0.5412, 0.5266], [0.6643, 0.6256, 0.5844], [0.3309, 0.9590, 0.9177], [0.8787, 0.3649, 0.6379], [0.9903, 0.9942, 0.3505], [0.6719, 0.3353, 0.3315], [0.5129, 0.6345, 0.8628], [0.3000, 0.9652, 0.0811], [0.3063, 0.3374, 0.5837], [0.6857, 0.5189, 0.2445], [0.5108, 0.8647, 0.0766], [0.3655, 0.4871, 0.3628], [0.2946, 0.2935, 0.7505], [0.5454, 0.6982, 0.9712], [0.9930, 0.6285, 0.2498], [0.4962, 0.6414, 0.5773], [0.6351, 0.1213, 0.1379], [0.3337, 0.6681, 0.8160], [0.1775, 0.1981, 0.4100], [0.7065, 0.7054, 0.2505], [0.3292, 0.0270, 0.4171], [0.3099, 0.4797, 0.7563], [0.3523, 0.8523, 0.5778], [0.6597, 0.9618, 0.5832], [0.4588, 0.2985, 0.0266], [0.0004, 0.0014, 0.1494], [0.3236, 0.6608, 0.0172], [0.4932, 0.3587, 0.4226], [0.1731, 0.2076, 0.6931], [0.8536, 0.3568, 0.9230], [0.4591, 0.1602, 0.5264], [0.6363, 0.5083, 0.6408], [0.1583, 0.6970, 0.4741], [0.8398, 0.5409, 0.0264], [0.6725, 0.3430, 0.1838], [0.1258, 0.4936, 0.8598], [0.2121, 0.0316, 0.3046], [0.7015, 0.0333, 0.9145], [0.1599, 0.6920, 0.7559], [0.4928, 0.1245, 0.6401], [0.3586, 0.5038, 0.0773], [0.7921, 0.9652, 0.6932], [0.5020, 0.1461, 0.9226], [0.9730, 0.6708, 0.9171], [0.3732, 0.0387, 0.5839], [0.8353, 0.8128, 0.5893], [0.5422, 0.8405, 0.4734], [0.1628, 0.9748, 0.9107], [0.8755, 0.5072, 0.1401], [0.6333, 0.6318, 0.7478], [0.0058, 0.0097, 0.8505], [0.1687, 0.4794, 0.2560], [0.1353, 0.4892, 0.5766], [0.0190, 0.1856, 0.9112], [0.5064, 0.8742, 0.3598], [0.0399, 0.3720, 0.9172], [0.3744, 0.3357, 0.0844], [0.8442, 0.5314, 0.7433], [0.8295, 0.3081, 0.2440], [0.1477, 0.6477, 0.0778], [0.7077, 0.0024, 0.7510], [0.4686, 0.1558, 0.2433], [0.6650, 0.0406, 0.0843], [0.3682, 0.3667, 0.2478], [0.9983, 0.7073, 0.7510], [0.7924, 0.8269, 0.1931], [0.0348, 0.2079, 0.1932], [0.9976, 0.2923, 0.2510], [0.6988, 0.1538, 0.0295], [0.9766, 0.8130, 0.0897]], "total_energy_ev_per_cell": -911.30, "ef_kj_per_mol_fu": -6206}

***

{"formula": "Na25Zr11Sc5Si12P12O96", "functional": "GGA-PBE", "state": "relaxed", "lattice": [[3.4345, 7.6605, -3.5625], [-4.3228, 4.0879, -6.9196], [-16.4703, 20.4966, 16.7453]], "species": ["Zr", "Na", "Zr", "O", "Zr", "O", "O", "P", "O", "O", "O", "P", "Na", "O", "O", "O", "O", "Na", "O", "Zr", "Si", "O", "P", "O", "O", "O", "O", "Zr", "Na", "P", "O", "O", "O", "Na", "O", "Na", "P", "Na", "O", "Na", "O", "O", "Zr", "Sc", "O", "O", "O", "O", "Si", "O", "Zr", "O", "O", "Na", "O", "O", "O", "Na", "O", "Na", "Si", "P", "O", "O", "O", "Si", "O", "O", "Sc", "O", "O", "Na", "Si", "Na", "O", "O", "Na", "O", "O", "O", "O", "Na", "O", "O", "Zr", "Na", "O", "Na", "Si", "Zr", "O", "O", "O", "O", "P", "O", "O", "O", "P", "O", "Na", "P", "Na", "Si", "O", "O", "Sc", "O", "O", "O", "Na", "Si", "Si", "Sc", "O", "Na", "Na", "O", "O", "O", "O", "O", "O", "P", "O", "P", "O", "Si", "O", "O", "O", "Na", "O", "O", "O", "O", "Zr", "O", "Sc", "O", "Na", "O", "O", "O", "Si", "O", "O", "O", "Na", "O", "Si", "O", "O", "P", "O", "Zr", "O", "O", "O", "O", "O"], "fractional_positions": [[0.7940, 0.2850, 0.6396], [0.8192, 0.0395, 0.4423], [0.8350, 0.3341, 0.4871], [0.1300, 0.7632, 0.6968], [0.5453, 0.0361, 0.3884], [0.8431, 0.1156, 0.0630], [0.4278, 0.1078, 0.1878], [0.6899, 0.4743, 0.9373], [0.3753, 0.0149, 0.9457], [0.7803, 0.3993, 0.1412], [0.7850, 0.6655, 0.0665], [0.3492, 0.5680, 0.8158], [0.0704, 0.2883, 0.6924], [0.7457, 0.0811, 0.3585], [0.5174, 0.8017, 0.0268], [0.6370, 0.2591, 0.1958], [0.5163, 0.1601, 0.8886], [0.4322, 0.2025, 0.8160], [0.0090, 0.2791, 0.0623], [0.4046, 0.9163, 0.7632], [0.3086, 0.5172, 0.0589], [0.8928, 0.0179, 0.8975], [0.1867, 0.9742, 0.4375], [0.7305, 0.4665, 0.2243], [0.4972, 0.2139, 0.4328], [0.2868, 0.4054, 0.6948], [0.3626, 0.4732, 0.4818], [0.1546, 0.6665, 0.5128], [0.1896, 0.3365, 0.4223], [0.7628, 0.8547, 0.8140], [0.8890, 0.2638, 0.8234], [0.6547, 0.4000, 0.9013], [0.4903, 0.8333, 0.1075], [0.2037, 0.0545, 0.2963], [0.2938, 0.6330, 0.0132], [0.0581, 0.1700, 0.9519], [0.6044, 0.8146, 0.0634], [0.9638, 0.8063, 0.0477], [0.2390, 0.5392, 0.3110], [0.0779, 0.6450, 0.6219], [0.1359, 0.4999, 0.0676], [0.8542, 0.4896, 0.9274], [0.9069, 0.4193, 0.2622], [0.3409, 0.8273, 0.9869], [0.4664, 0.6028, 0.1816], [0.2724, 0.1587, 0.5687], [0.3401, 0.2504, 0.3552], [0.3988, 0.5310, 0.3962], [0.7322, 0.6483, 0.6871], [0.0363, 0.1551, 0.4447], [0.6576, 0.1720, 0.0129], [0.9864, 0.3431, 0.6091], [0.0459, 0.3863, 0.7647], [0.5436, 0.7191, 0.4612], [0.4871, 0.2148, 0.9723], [0.7967, 0.1359, 0.5141], [0.1240, 0.4763, 0.5550], [0.7061, 0.5215, 0.7903], [0.6742, 0.3715, 0.4397], [0.5806, 0.7942, 0.1879], [0.8136, 0.0210, 0.5612], [0.0994, 0.3178, 0.5659], [0.2366, 0.5924, 0.8594], [0.2074, 0.3528, 0.9339], [0.0265, 0.6460, 0.3874], [0.9828, 0.8910, 0.9387], [0.6481, 0.7789, 0.6463], [0.8624, 0.9711, 0.9836], [0.2224, 0.7024, 0.3605], [0.5806, 0.8680, 0.3473], [0.0975, 0.3630, 0.8478], [0.3294, 0.8942, 0.8752], [0.2325, 0.1416, 0.1865], [0.9215, 0.7058, 0.3160], [0.6129, 0.7231, 0.7321], [0.3812, 0.2677, 0.2736], [0.4565, 0.2719, 0.5398], [0.1437, 0.9029, 0.4025], [0.5906, 0.4899, 0.6042], [0.5459, 0.8880, 0.2638], [0.8804, 0.7717, 0.7726], [0.3291, 0.5474, 0.9412], [0.0964, 0.7528, 0.1798], [0.8485, 0.1152, 0.5966], [0.2981, 0.7748, 0.1382], [0.2716, 0.7112, 0.2482], [0.7387, 0.0335, 0.8136], [0.9959, 0.4995, 0.0047], [0.3983, 0.1826, 0.9341], [0.5765, 0.0916, 0.2351], [0.5977, 0.2409, 0.6748], [0.0285, 0.9060, 0.3151], [0.2396, 0.0877, 0.8084], [0.3213, 0.6156, 0.0977], [0.2630, 0.3593, 0.3133], [0.6379, 0.0168, 0.5729], [0.9886, 0.7162, 0.4705], [0.9888, 0.8375, 0.5582], [0.8529, 0.0652, 0.3139], [0.6295, 0.5217, 0.5222], [0.4406, 0.5872, 0.6720], [0.4355, 0.2233, 0.6876], [0.7930, 0.9684, 0.7115], [0.9040, 0.6811, 0.4322], [0.2431, 0.9553, 0.1860], [0.7152, 0.8477, 0.4289], [0.4742, 0.9504, 0.6100], [0.8805, 0.5136, 0.4468], [0.1108, 0.2261, 0.2309], [0.1501, 0.2630, 0.1439], [0.6808, 0.8401, 0.9229], [0.1544, 0.9304, 0.6824], [0.0638, 0.2698, 0.8115], [0.7244, 0.1981, 0.8610], [0.6152, 0.9828, 0.0561], [0.3022, 0.1798, 0.0769], [0.1811, 0.9535, 0.5656], [0.9240, 0.6214, 0.6897], [0.9937, 0.7050, 0.9374], [0.8414, 0.7390, 0.8548], [0.7457, 0.4638, 0.6832], [0.9559, 0.6197, 0.2340], [0.0882, 0.3674, 0.3125], [0.9393, 0.7267, 0.1896], [0.3370, 0.6170, 0.5614], [0.5122, 0.6060, 0.5636], [0.1319, 0.0211, 0.0213], [0.4825, 0.3986, 0.4368], [0.0107, 0.3000, 0.5293], [0.7358, 0.5879, 0.3090], [0.2391, 0.9653, 0.7206], [0.8262, 0.3951, 0.3707], [0.5882, 0.8655, 0.8116], [0.4740, 0.3257, 0.0597], [0.5225, 0.4088, 0.8186], [0.2766, 0.8940, 0.6377], [0.0851, 0.5838, 0.7372], [0.2596, 0.5500, 0.7796], [0.9588, 0.4585, 0.1120], [0.7212, 0.3537, 0.9799], [0.6094, 0.1627, 0.1232], [0.3904, 0.1525, 0.6532], [0.9084, 0.6474, 0.1541], [0.7595, 0.0510, 0.2784], [0.6515, 0.4320, 0.1845], [0.5401, 0.6530, 0.9437], [0.4681, 0.1085, 0.7311], [0.3826, 0.7633, 0.3176], [0.9438, 0.0878, 0.1709], [0.4896, 0.7839, 0.5628], [0.5590, 0.7704, 0.3097], [0.8774, 0.2244, 0.3054], [0.1718, 0.8695, 0.9395], [0.0194, 0.1051, 0.0623], [0.9655, 0.0975, 0.6795], [0.0458, 0.5343, 0.8897], [0.7831, 0.9072, 0.1940], [0.2183, 0.8585, 0.4808], [0.3727, 0.7265, 0.8049], [0.3476, 0.9932, 0.4250], [0.1019, 0.9908, 0.1036]], "total_energy_ev_per_cell": -1196.47, "ef_kj_per_mol_fu": -48108}

***

{"formula": "Na2ScSnP3O12", "functional": "GGA-PBE", "state": "relaxed", "lattice": [[8.8973, -0.0338, 0.0025], [-4.4779, 7.6884, -0.0025], [0.0066, -0.0038, 22.8304]], "species": ["O", "O", "P", "O", "P", "O", "Sc", "O", "Na", "O", "P", "O", "O", "Sn", "O", "O", "O", "P", "O", "P", "O", "O", "Sc", "Na", "P", "O", "Sn", "O", "P", "O", "O", "Na", "P", "O", "O", "O", "O", "O", "P", "O", "O", "O", "Sn", "O", "O", "O", "O", "O", "O", "P", "Sn", "O", "Na", "O", "Na", "O", "O", "O", "Na", "O", "P", "O", "P", "O", "O", "O", "P", "Na", "O", "O", "O", "O", "O", "O", "O", "Sc", "O", "O", "P", "O", "Sn", "P", "Na", "O", "O", "O", "O", "O", "Sn", "O", "P", "O", "O", "P", "O", "Sc", "Na", "O", "P", "O", "Na", "Sc", "O", "O", "O", "O", "O", "O", "Na", "O", "Na", "Sc", "O", "O"], "fractional_positions": [[0.5406, 0.8475, 0.4710], [0.1434, 0.6542, 0.0775], [0.7065, 0.7079, 0.2509], [0.8484, 0.2984, 0.5257], [0.0027, 0.7095, 0.7499], [0.1369, 0.4973, 0.5768], [0.9986, 0.9926, 0.3527], [0.9829, 0.8146, 0.0892], [0.3333, 0.6663, 0.1652], [0.8192, 0.7927, 0.3044], [0.6238, 0.6639, 0.9166], [0.3077, 0.8321, 0.2554], [0.1157, 0.4866, 0.8612], [0.0013, 0.0068, 0.6493], [0.5027, 0.8631, 0.0768], [0.8740, 0.5141, 0.1377], [0.5012, 0.3589, 0.4221], [0.9991, 0.2920, 0.2521], [0.1854, 0.0171, 0.5892], [0.9572, 0.3306, 0.5833], [0.0211, 0.8263, 0.4110], [0.8468, 0.5509, 0.0279], [0.0074, 0.0014, 0.8527], [0.0000, 0.9997, 0.4985], [0.3361, 0.3762, 0.4166], [0.4511, 0.2911, 0.0299], [0.6599, 0.3320, 0.4826], [0.3756, 0.8823, 0.8632], [0.3732, 0.0412, 0.5842], [0.1918, 0.1606, 0.0896], [0.1492, 0.6918, 0.4736], [0.3045, 0.9678, 0.0828], [0.2921, 0.2935, 0.7509], [0.8100, 0.9876, 0.4108], [0.4702, 0.1640, 0.2434], [0.1693, 0.1965, 0.4101], [0.5151, 0.6317, 0.8590], [0.4825, 0.3585, 0.1403], [0.6694, 0.0428, 0.0833], [0.0124, 0.1900, 0.9108], [0.5187, 0.6837, 0.2559], [0.1177, 0.6244, 0.3632], [0.3346, 0.6734, 0.3159], [0.8035, 0.8307, 0.9101], [0.5391, 0.6972, 0.9694], [0.8345, 0.0256, 0.0888], [0.8724, 0.3639, 0.6361], [0.1727, 0.4749, 0.2563], [0.2073, 0.1808, 0.8044], [0.7080, 0.0009, 0.7521], [0.6680, 0.3401, 0.9826], [0.4767, 0.3209, 0.7442], [0.9712, 0.3011, 0.4162], [0.5134, 0.8843, 0.3612], [0.6378, 0.6345, 0.7495], [0.6361, 0.1276, 0.1361], [0.1679, 0.6923, 0.7554], [0.6411, 0.4988, 0.9221], [0.6667, 0.3330, 0.8319], [0.6877, 0.1596, 0.7443], [0.2905, 0.9973, 0.2499], [0.3683, 0.4849, 0.3590], [0.6658, 0.6254, 0.5854], [0.3163, 0.4813, 0.7559], [0.1818, 0.9651, 0.1924], [0.6496, 0.1480, 0.4226], [0.3325, 0.9587, 0.9187], [0.6989, 0.0288, 0.9162], [0.6415, 0.5175, 0.6403], [0.7844, 0.9577, 0.6965], [0.8159, 0.0251, 0.8070], [0.5060, 0.1416, 0.9229], [0.8520, 0.3504, 0.9226], [0.7016, 0.1516, 0.0257], [0.1801, 0.2176, 0.6946], [0.6741, 0.3347, 0.1860], [0.0423, 0.2156, 0.1965], [0.1737, 0.9789, 0.9110], [0.0399, 0.3746, 0.9176], [0.3028, 0.4609, 0.4694], [0.3266, 0.6654, 0.8159], [0.3746, 0.3342, 0.0854], [0.6670, 0.3333, 0.3319], [0.4491, 0.1532, 0.5279], [0.3544, 0.4930, 0.0777], [0.9744, 0.1655, 0.5888], [0.7824, 0.8199, 0.1946], [0.3082, 0.8508, 0.9736], [0.9932, 0.9987, 0.1493], [0.5070, 0.6456, 0.5777], [0.9588, 0.6268, 0.0842], [0.2058, 0.0305, 0.3027], [0.8584, 0.4940, 0.4229], [0.6254, 0.9601, 0.4176], [0.8394, 0.8082, 0.5896], [0.6653, 0.3259, 0.6860], [0.0003, 0.0000, 0.9985], [0.4859, 0.1260, 0.6377], [0.0413, 0.6675, 0.4187], [0.8404, 0.3123, 0.2443], [0.3655, 0.3622, 0.2495], [0.3320, 0.6593, 0.0194], [0.3458, 0.8566, 0.5775], [0.9749, 0.1841, 0.3070], [0.5251, 0.8273, 0.7563], [0.8360, 0.5298, 0.7434], [0.9695, 0.7942, 0.8027], [0.7089, 0.5489, 0.5299], [0.0322, 0.6955, 0.5828], [0.1525, 0.4594, 0.9710], [0.3337, 0.6667, 0.6652], [0.3407, 0.6680, 0.5194], [0.0349, 0.8182, 0.6924], [0.6791, 0.5233, 0.2442]], "total_energy_ev_per_cell": -801.73, "ef_kj_per_mol_fu": -5139}